No. 1
Material: Ba2NdMgSbO6
Method: DFT, PBE
State: optimized geometry

spin magnetization	0.00	Bohr magnetons per cell
ΔH_f (0 K)	-2.75	eV per atom
final energy	-6.380	eV/atom

Geometry as POSCAR:
```
Ba2NdMgSbO6
1.0
6.362 0.000 0.000
3.131 5.677 0.000
2.066 1.793 6.051
Ba Nd Mg Sb O
2 1 1 1 6
direct
0.000 0.000 0.000
0.366 0.415 0.765
0.690 0.795 0.666
0.648 0.635 0.132
0.103 0.229 0.356
0.281 0.110 0.603
0.419 0.635 0.986
0.630 0.969 0.941
0.775 0.515 0.425
0.928 0.470 0.917
0.974 0.973 0.452
```

No. 2
Material: Pr3Al28Cu8
Method: DFT, PBE
State: optimized geometry

spin magnetization	0.11	Bohr magnetons per cell
ΔH_f (0 K)	-0.22	eV per atom
final energy	-4.115	eV/atom

Geometry as POSCAR:
```
Pr3Al28Cu8
1.0
2.587 -6.623 0.000
2.587 6.623 0.000
-2.296 0.000 18.782
Pr Al Cu
3 28 8
direct
0.000 0.000 0.000
0.330 0.330 0.666
0.670 0.670 0.334
0.000 0.000 0.500
0.023 0.249 0.259
0.087 0.319 0.405
0.097 0.458 0.551
0.123 0.765 0.884
0.167 0.167 0.834
0.210 0.567 0.783
0.235 0.877 0.116
0.249 0.023 0.259
0.319 0.087 0.405
0.357 0.583 0.927
0.417 0.643 0.073
0.433 0.790 0.217
0.459 0.097 0.551
0.500 0.500 0.500
0.541 0.903 0.449
0.567 0.210 0.783
0.583 0.357 0.927
0.643 0.417 0.073
0.681 0.913 0.595
0.751 0.977 0.741
0.765 0.123 0.884
0.790 0.433 0.217
0.833 0.833 0.166
0.877 0.235 0.116
0.903 0.542 0.449
0.913 0.681 0.595
0.977 0.751 0.741
0.000 0.500 0.000
0.168 0.667 0.332
0.333 0.832 0.668
0.334 0.334 0.166
0.500 0.000 0.000
0.666 0.666 0.834
0.667 0.168 0.332
0.832 0.333 0.668
```

No. 3
Material: Mg5Al2Se8
Method: DFT, PBE
State: optimized geometry

spin magnetization	0.00	Bohr magnetons per cell
ΔH_f (0 K)	-1.09	eV per atom
final energy	-3.731	eV/atom

Geometry as POSCAR:
```
Mg5Al2Se8
1.0
9.761 0.000 0.000
0.654 9.839 0.000
0.582 1.202 17.022
Mg Al Se
20 8 32
direct
0.000 0.000 0.000
0.001 0.094 0.548
0.016 0.327 0.747
0.036 0.301 0.152
0.069 0.775 0.404
0.085 0.760 0.197
0.131 0.326 0.362
0.142 0.332 0.929
0.167 0.713 0.877
0.467 0.672 0.688
0.487 0.258 0.157
0.528 0.331 0.694
0.529 0.302 0.886
0.540 0.789 0.367
0.543 0.575 0.984
0.579 0.504 0.550
0.671 0.868 0.560
0.690 0.264 0.376
0.694 0.800 0.096
0.977 0.787 0.674
0.182 0.004 0.282
0.261 0.030 0.756
0.364 0.945 0.034
0.394 0.026 0.491
0.749 0.542 0.767
0.770 0.525 0.246
0.831 0.542 0.990
0.906 0.479 0.512
0.037 0.084 0.700
0.129 0.515 0.455
0.162 0.978 0.118
0.179 0.080 0.427
0.204 0.544 0.998
0.228 0.778 0.733
0.235 0.961 0.909
0.258 0.230 0.236
0.288 0.276 0.798
0.297 0.779 0.307
0.361 0.216 0.574
0.385 0.350 0.017
0.421 0.783 0.535
0.448 0.728 0.087
0.486 0.065 0.671
0.516 0.566 0.836
0.555 0.092 0.042
0.556 0.410 0.262
0.605 0.023 0.417
0.701 0.761 0.246
0.702 0.792 0.716
0.724 0.597 0.433
0.736 0.283 0.786
0.793 0.267 0.522
0.847 0.814 0.971
0.905 0.312 0.293
0.932 0.854 0.530
0.935 0.524 0.650
0.937 0.257 0.017
0.949 0.563 0.139
0.954 0.930 0.289
0.956 0.539 0.851
```